A relaxed structure of K2LiNdF6, computed with r²SCAN.

Cell lengths 6.0494, 6.0494, 6.0494 Å; angles 60.00, 60.00, 60.00 degrees
Last column: nearest neighbours and their distance in Å.
Sites, in units of the cell vectors:
K 0.2500 0.2500 0.2500  12 F 3.03
K 0.7500 0.7500 0.7500  12 F 3.03
Li 0.0000 0.0000 0.0000  6 F 2.02
Nd 0.5000 0.5000 0.5000  6 F 2.25
F 0.2367 0.2367 0.7633  1 Li 2.02, 1 Nd 2.25
F 0.2367 0.7633 0.2367  1 Li 2.02, 1 Nd 2.25
F 0.2367 0.7633 0.7633  1 Li 2.02, 1 Nd 2.25
F 0.7633 0.2367 0.2367  1 Li 2.02, 1 Nd 2.25
F 0.7633 0.2367 0.7633  1 Li 2.02, 1 Nd 2.25
F 0.7633 0.7633 0.2367  1 Li 2.02, 1 Nd 2.25

Results
Space group ... Fm-3m (225)
Calculated total energy ... -9.752 eV/atom

=====

A relaxed structure of KLiYbF5, computed with r²SCAN.

Cell lengths 6.3047, 11.6210, 6.1515 Å; angles 90.00, 113.64, 90.00 degrees
Last column: nearest neighbours and their distance in Å.
Sites, in units of the cell vectors:
K 0.0542 0.1511 0.0438  8 F 2.59-2.89
K 0.0542 0.3489 0.5438  8 F 2.59-2.89
K 0.9458 0.6511 0.4562  8 F 2.59-2.89
K 0.9458 0.8489 0.9562  8 F 2.59-2.89
Li 0.4385 0.7480 0.5369  4 F 1.83-1.96
Li 0.4385 0.7520 0.0369  4 F 1.83-1.96
Li 0.5615 0.2480 0.9631  4 F 1.83-1.96
Li 0.5615 0.2520 0.4631  4 F 1.83-1.96
Yb 0.3177 0.5018 0.1812  8 F 2.15-2.27
Yb 0.3177 0.9982 0.6812  8 F 2.15-2.27
Yb 0.6823 0.0018 0.3188  8 F 2.15-2.27
Yb 0.6823 0.4982 0.8188  8 F 2.15-2.27
F 0.0457 0.5119 0.8281  2 Yb 2.16-2.27, 1 F 2.42
F 0.0457 0.9881 0.3281  2 Yb 2.16-2.27, 1 F 2.42
F 0.2731 0.6921 0.2226  2 Li 1.91-1.96
F 0.2731 0.8079 0.7226  2 Li 1.91-1.96
F 0.2932 0.1733 0.7797  1 Li 1.83
F 0.2932 0.3267 0.2797  1 Li 1.83
F 0.3342 0.5288 0.5493  2 Yb 2.19-2.25
F 0.3342 0.9712 0.0493  2 Yb 2.19-2.25
F 0.4637 0.1035 0.4651  1 Li 1.83
F 0.4637 0.3965 0.9651  1 Li 1.83
F 0.5363 0.6035 0.0349  1 Li 1.83
F 0.5363 0.8965 0.5349  1 Li 1.83
F 0.6658 0.0288 0.9507  2 Yb 2.19-2.25
F 0.6658 0.4712 0.4507  2 Yb 2.19-2.25
F 0.7068 0.6733 0.7203  1 Li 1.83
F 0.7068 0.8267 0.2203  1 Li 1.83
F 0.7269 0.1921 0.2774  2 Li 1.91-1.96
F 0.7269 0.3079 0.7774  2 Li 1.91-1.96
F 0.9543 0.0119 0.6719  2 Yb 2.16-2.27, 1 F 2.42
F 0.9543 0.4881 0.1719  2 Yb 2.16-2.27, 1 F 2.42

Results
Space group ... P2_1/c (14)
Calculated total energy ... -11.412 eV/atom

=====

A relaxed structure of K2MnF6, computed with r²SCAN.

Cell lengths 5.6615, 5.6615, 9.2052 Å; angles 90.00, 90.00, 120.00 degrees
Last column: nearest neighbours and their distance in Å.
Sites, in units of the cell vectors:
K 0.0000 0.0000 0.0000  12 F 2.80-2.99
K 0.0000 0.0000 0.5000  12 F 2.80-2.99
K 0.3333 0.6667 0.2719  12 F 2.80-2.87
K 0.6667 0.3333 0.7719  12 F 2.80-2.87
Mn 0.3333 0.6667 0.6548  6 F 1.81-1.82
Mn 0.6667 0.3333 0.1548  6 F 1.81-1.82
F 0.0335 0.5167 0.5393  1 Mn 1.81
F 0.1787 0.3574 0.7634  1 Mn 1.82
F 0.1787 0.8213 0.7634  1 Mn 1.82
F 0.3574 0.1787 0.2634  1 Mn 1.82
F 0.4833 0.5167 0.5393  1 Mn 1.81
F 0.4833 0.9665 0.5393  1 Mn 1.81
F 0.5167 0.0335 0.0393  1 Mn 1.81
F 0.5167 0.4833 0.0393  1 Mn 1.81
F 0.6426 0.8213 0.7634  1 Mn 1.82
F 0.8213 0.1787 0.2634  1 Mn 1.82
F 0.8213 0.6426 0.2634  1 Mn 1.82
F 0.9665 0.4833 0.0393  1 Mn 1.81

Results
Space group ... P6_3mc (186)
Calculated total energy ... -8.033 eV/atom

=====

> Which value of calculated total energy does entry 1 give?

-9.752 eV/atom

=====

> Which formula does entry 1 have?

K2LiNdF6

=====

> What is the calculated total energy in the third record?

-8.033 eV/atom